CsH2F3 (r²SCAN, optimized geometry); DFT total energy = -9.08 eV/atom; calculated formation energy = -210.3 kJ per mole of atoms
1.0
7.340 0.000 0.000
0.000 8.980 0.000
0.000 0.000 11.348
Cs H F
8 16 24
Cartesian
3.867 1.927 3.853
0.120 3.187 1.244
3.473 6.417 1.821
3.790 1.303 10.104
7.220 7.677 4.430
0.197 2.563 7.495
3.550 5.793 6.918
7.143 7.053 9.527
1.558 4.438 4.229
3.930 3.685 0.663
5.228 0.052 7.120
3.410 8.175 5.011
3.863 2.129 6.973
7.147 6.852 1.299
3.477 6.619 10.049
5.157 4.309 9.985
2.112 4.542 9.903
0.260 0.806 10.685
2.183 8.800 7.037
0.193 2.361 4.375
1.487 0.181 1.363
7.080 5.296 6.337
5.853 4.671 4.311
5.782 8.929 1.445
5.412 0.889 1.406
4.157 7.824 4.411
6.163 7.667 1.568
6.102 4.821 5.617
6.854 1.156 10.085
2.492 5.803 9.781
5.598 8.091 7.080
5.599 4.583 3.339
1.238 0.331 0.057
0.546 6.185 1.096
3.184 3.334 1.264
1.928 5.379 4.268
2.432 8.649 5.731
0.487 5.646 6.938
3.124 2.796 6.770
5.411 4.397 9.013
1.741 0.093 2.335
4.848 1.313 7.242
6.794 1.695 4.578
4.217 7.286 10.252
4.908 4.159 11.291
1.742 3.601 9.943
1.178 3.177 4.107
1.929 8.887 8.009

SrCd2Ga2 (r²SCAN, optimized geometry); DFT total energy = -16.04 eV/atom; calculated formation energy = -38.0 kJ per mole of atoms
1.0
0.481 4.425 -0.838
2.373 -0.965 -3.735
-6.255 -1.783 -0.767
Cd Ga Sr
2 2 1
Cartesian
-2.173 2.186 -1.946
-1.227 -0.509 -3.394
-3.779 -0.042 -2.390
0.379 1.718 -2.950
0.000 0.000 0.000

Ba6Ni5O15 (r²SCAN, optimized geometry); DFT total energy = -13.86 eV/atom; calculated formation energy = -192.1 kJ per mole of atoms
1.0
-5.270 -1.841 4.487
2.975 -6.403 1.204
3.635 2.512 5.637
O Ni Ba
15 5 6
Cartesian
-4.089 -2.495 4.016
1.054 -5.964 8.566
1.573 -0.480 2.249
2.360 -3.984 9.413
0.709 -0.849 4.893
2.105 -4.162 6.625
-0.145 -4.047 9.677
-0.918 -0.356 2.606
0.823 -2.270 7.734
3.069 -5.126 1.839
0.093 -2.365 1.471
2.358 1.888 5.472
-0.421 -4.302 6.853
-0.850 -2.706 4.138
1.650 -2.908 3.740
0.127 -0.544 1.075
0.670 -2.866 5.664
0.387 -1.659 3.278
0.951 -4.073 8.049
1.212 -5.188 10.253
-1.857 -2.321 8.636
3.566 -4.469 4.510
0.901 0.266 7.221
3.843 -2.360 7.942
0.692 -6.784 6.076
-2.459 -4.395 5.260

LaPrIn2 (r²SCAN, optimized geometry); DFT total energy = -26.70 eV/atom; calculated formation energy = -60.5 kJ per mole of atoms
1.0
0.000 3.927 3.927
3.927 0.000 3.927
3.927 3.927 0.000
Pr In La
1 2 1
Cartesian
0.000 0.000 0.000
1.964 1.964 1.964
5.891 5.891 5.891
3.927 3.927 3.927

Ba2ZnBi2 (r²SCAN, optimized geometry); DFT total energy = -36.66 eV/atom; calculated formation energy = -84.5 kJ per mole of atoms
1.0
-0.475 -7.635 4.545
-6.950 -4.734 -2.911
6.813 3.874 -4.213
Ba Zn Bi
4 2 4
Cartesian
-0.859 -5.613 0.694
-4.630 -3.846 -3.062
0.248 -2.881 -3.272
4.018 -4.648 0.484
3.135 -2.095 -1.615
-3.746 -6.399 -0.963
-1.622 -6.004 -2.859
2.616 -0.132 -3.649
1.011 -2.491 0.281
-3.228 -8.363 1.071

TmFe2Ge2 (r²SCAN, optimized geometry); DFT total energy = -18.80 eV/atom; calculated formation energy = -44.4 kJ per mole of atoms
1.0
5.855 -1.539 0.521
2.192 -4.992 2.681
-4.164 1.924 -3.984
Fe Ge Tm
2 2 1
Cartesian
1.026 -3.167 0.148
2.857 -1.440 -0.931
4.932 -4.003 1.962
3.114 -2.528 1.239
0.000 0.000 0.000

Tb12Os5C15 (r²SCAN, optimized geometry); DFT total energy = -25.15 eV/atom; calculated formation energy = -48.0 kJ per mole of atoms
1.0
-1.154 7.991 -7.053
-4.201 0.873 9.825
4.338 2.098 1.668
C Tb Os
15 12 5
Cartesian
0.566 6.931 -2.396
-0.131 3.730 3.441
-4.587 3.549 7.463
-1.052 3.154 6.561
-2.896 4.794 1.498
-3.082 8.392 -2.541
0.433 5.048 0.317
-1.407 0.292 3.290
-0.530 3.670 -3.238
-0.915 6.334 -5.588
-4.482 8.682 0.734
-1.001 8.025 0.301
-3.562 5.896 1.844
-1.111 1.840 0.574
-1.867 6.002 5.097
1.667 4.524 -2.232
-1.615 5.980 -3.323
-1.669 3.884 -0.547
-2.947 8.260 5.065
-4.054 5.057 4.179
-1.163 1.742 8.626
-3.225 6.993 -0.410
-2.231 2.571 2.565
-0.811 9.420 -1.947
-0.858 6.060 2.401
-3.271 2.109 5.853
1.061 2.883 1.408
-0.675 0.141 1.577
-4.495 7.442 2.328
-4.386 2.156 8.692
-1.016 4.295 5.033
0.000 6.668 -0.593

LaUO4 (r²SCAN, optimized geometry); DFT total energy = -26.05 eV/atom; calculated formation energy = -365.1 kJ per mole of atoms
1.0
6.375 -1.956 0.005
6.375 1.956 0.005
5.773 0.000 3.338
La O U
1 4 1
Cartesian
0.000 0.000 0.000
7.154 0.000 1.293
16.033 0.000 2.897
2.491 0.000 0.450
11.370 0.000 2.055
9.262 0.000 1.674

H24PtN8Cl2 (r²SCAN, optimized geometry); DFT total energy = -6.73 eV/atom; calculated formation energy = -43.4 kJ per mole of atoms
1.0
-0.127 2.206 7.331
-4.787 -8.658 2.522
7.644 -5.537 -4.497
H N Cl Pt
48 16 4 2
Cartesian
4.977 -4.371 3.636
-2.247 -7.618 1.720
-0.547 -5.822 0.958
-2.412 -7.266 7.048
0.548 -11.786 1.251
2.276 -4.245 0.989
3.187 -2.441 3.741
-3.379 -7.236 2.832
1.186 -12.367 -0.190
1.572 -3.278 5.150
0.216 -10.108 2.992
2.182 -0.203 4.106
0.029 -4.289 1.236
2.701 -7.700 4.120
3.591 -4.865 1.788
2.650 -10.453 1.484
1.158 -8.711 0.206
4.983 -9.030 -1.005
3.764 -7.024 3.037
2.703 -8.590 -0.249
1.544 0.378 5.547
-0.148 -6.275 4.804
0.454 -7.744 4.368
6.109 -4.753 2.525
3.525 -1.987 -0.001
-0.457 -9.548 1.616
1.839 -9.909 -0.667
-0.861 -7.124 3.568
2.878 -5.714 0.552
-1.034 -4.965 2.319
3.277 -6.167 4.398
-2.253 -2.959 6.361
-1.622 -1.459 6.509
-0.795 -10.002 5.358
4.881 -7.282 0.883
0.069 -1.114 2.267
2.514 -1.881 2.364
-2.715 -8.709 2.840
0.080 -1.536 3.873
0.027 -3.399 5.606
6.309 -6.633 -1.371
2.661 -10.875 3.089
0.891 -2.080 6.024
5.445 -3.280 2.516
4.353 -10.531 -1.153
-3.579 -5.356 6.727
5.142 -4.723 -1.692
-2.151 -4.707 4.474
-2.494 -7.723 2.705
-0.338 -10.384 2.182
3.068 -1.605 3.174
3.065 -11.110 2.178
-0.335 -0.879 3.179
0.718 -2.735 5.261
5.801 -3.940 -1.728
-3.071 -8.049 7.084
5.224 -4.266 2.652
5.159 -7.504 1.838
2.676 -5.113 1.357
-2.429 -4.485 3.519
2.012 -9.254 0.096
-0.233 -5.171 1.686
0.054 -6.876 3.999
2.963 -6.818 3.671
3.957 -6.696 -1.422
-1.227 -5.293 6.778
1.733 -9.620 4.984
0.997 -2.369 0.372
-0.063 1.103 3.666
1.365 -5.995 2.678

Li2IrO3 (r²SCAN, optimized geometry); DFT total energy = -14.06 eV/atom; calculated formation energy = -150.1 kJ per mole of atoms
1.0
0.000 4.110 8.946
2.938 0.000 8.946
2.938 4.110 0.000
O Li Ir
12 8 4
Cartesian
1.486 4.142 5.981
5.761 6.165 13.419
4.390 4.079 5.981
1.584 4.110 8.946
2.955 2.087 7.438
1.486 4.079 11.911
2.955 6.134 10.454
3.053 6.165 13.419
4.390 4.142 11.911
2.921 2.087 10.454
2.921 6.134 7.438
4.292 4.110 8.946
2.938 4.110 16.467
2.938 4.110 1.426
1.469 2.055 0.044
2.938 4.110 4.430
1.469 2.055 5.899
2.938 4.110 13.463
1.469 2.055 3.047
1.469 2.055 8.903
4.407 6.165 11.898
4.407 6.165 14.941
2.938 4.110 10.467
2.938 4.110 7.425

Sr2Mg (r²SCAN, optimized geometry); DFT total energy = -11.47 eV/atom; calculated formation energy = 1.5 kJ per mole of atoms
1.0
-1.875 -0.191 6.846
2.630 5.978 -2.786
-6.059 -1.096 -3.536
Sr Mg
4 2
Cartesian
-2.086 4.309 0.469
-1.701 1.653 4.185
-3.603 3.039 -3.662
-3.218 0.382 0.054
0.566 4.340 3.044
0.189 1.447 1.015

KNiCl3 (r²SCAN, optimized geometry); DFT total energy = -8.76 eV/atom; calculated formation energy = -141.7 kJ per mole of atoms
1.0
-1.653 11.426 2.478
-6.003 -8.257 5.934
4.329 -0.248 4.033
Cl K Ni
18 6 6
Cartesian
-0.222 4.255 3.831
0.989 2.821 6.790
-0.472 -3.745 7.954
-1.773 -7.124 8.032
2.046 0.319 4.393
-1.669 -2.290 4.981
-1.704 6.599 5.566
-3.165 0.034 6.730
0.841 1.764 1.427
-1.953 -1.400 9.688
-0.507 5.145 8.539
0.146 -1.384 1.980
0.233 -0.601 7.391
1.881 9.411 5.129
-2.409 3.456 6.129
1.676 5.972 6.247
-3.851 -3.117 7.272
-5.326 2.599 8.097
3.040 3.617 4.177
-1.134 0.979 4.146
-1.502 1.903 8.945
-0.069 8.457 7.812
-5.675 -0.736 8.914
-2.566 -5.576 5.280
2.201 -0.126 2.051
-3.984 -1.729 5.312
-0.370 4.708 6.177
-2.534 4.833 4.160
-5.967 -8.259 5.968
-1.820 -1.853 7.329

Sc2CuPt (r²SCAN, optimized geometry); DFT total energy = -22.12 eV/atom; calculated formation energy = -81.1 kJ per mole of atoms
1.0
0.000 3.262 3.262
3.262 0.000 3.262
3.262 3.262 0.000
Sc Pt Cu
2 1 1
Cartesian
3.262 3.262 3.262
0.000 0.000 0.000
4.893 4.893 4.893
1.631 1.631 1.631

Bi2P4O13 (r²SCAN, optimized geometry); DFT total energy = -14.33 eV/atom; calculated formation energy = -211.1 kJ per mole of atoms
1.0
3.440 5.993 0.024
-3.440 5.993 0.024
0.000 3.696 12.702
O Bi P
26 4 8
Cartesian
-1.828 6.917 3.200
1.241 4.538 5.125
1.828 8.766 9.550
-0.029 13.244 8.380
-1.313 7.574 5.546
1.184 11.213 7.637
-1.184 4.470 5.113
0.041 4.445 2.895
0.029 2.439 4.370
-0.041 6.293 9.246
0.059 12.107 5.053
-1.241 11.145 7.625
0.029 11.396 2.030
0.041 9.389 3.504
1.313 9.422 11.897
-1.184 9.365 1.286
-1.313 6.260 0.853
-0.059 3.575 7.697
1.184 6.318 11.464
-0.041 11.238 9.855
-0.029 4.287 10.720
1.241 9.297 1.274
1.313 8.109 7.204
0.059 1.727 1.346
-1.241 6.386 11.476
-0.059 13.956 11.404
-0.002 5.718 7.091
0.002 9.965 5.659
-0.002 11.813 12.010
0.002 3.870 0.740
2.443 8.471 8.109
-2.443 7.212 4.641
0.044 9.803 2.063
-0.044 5.880 10.687
-0.044 11.651 8.414
2.443 9.061 10.992
0.044 4.032 4.336
-2.443 6.622 1.758

VPt3 (r²SCAN, optimized geometry); DFT total energy = -42.67 eV/atom; calculated formation energy = -51.5 kJ per mole of atoms
1.0
3.901 0.000 0.000
0.000 3.901 0.000
0.000 0.000 3.901
V Pt
1 3
Cartesian
0.000 0.000 0.000
0.000 1.951 1.951
1.951 1.951 0.000
1.951 0.000 1.951

| no. | total moment (μB per formula unit) | calculated density (g/cm³) |
| --- | --- | --- |
| 1 | 0.0 | 3.41 |
| 2 | 0.0 | 6.40 |
| 3 | 2.0 | 6.14 |
| 4 | 0.0 | 6.98 |
| 5 | 0.0 | 6.55 |
| 6 | 5.3 | 8.69 |
| 7 | 0.3 | 9.94 |
| 8 | 1.0 | 8.81 |
| 9 | 0.0 | 2.00 |
| 10 | 1.0 | 7.81 |
| 11 | 0.1 | 2.47 |
| 12 | 2.0 | 2.84 |
| 13 | 0.0 | 8.34 |
| 14 | 0.0 | 4.76 |
| 15 | 1.3 | 17.79 |